1.
DFT (PBE-GGA) results for Na7Si5Sn2Ge2PO24 after structural relaxation.

Geometry as POSCAR:
```
Na7Si5Sn2Ge2PO24
1.0
-5.201 -2.605 -6.760
8.731 1.177 -1.282
3.569 -21.110 5.217
Na Si Sn Ge P O
21 15 6 6 3 72
direct
0.632 0.999 0.251
0.369 0.368 0.249
0.000 0.631 0.250
0.633 0.631 0.748
0.998 0.368 0.749
0.371 0.002 0.749
0.297 0.332 0.585
0.035 0.704 0.584
0.669 0.965 0.584
0.296 0.969 0.083
0.034 0.335 0.085
0.971 0.669 0.916
0.329 0.297 0.917
0.332 0.031 0.417
0.700 0.667 0.418
0.998 0.005 0.499
0.990 0.995 0.000
0.668 0.324 0.833
0.676 0.333 0.336
0.338 0.664 0.166
0.334 0.667 0.666
0.281 0.000 0.251
0.719 0.720 0.250
0.000 0.279 0.250
0.288 0.282 0.748
0.995 0.715 0.748
0.720 0.005 0.749
0.950 0.328 0.585
0.382 0.054 0.585
0.671 0.618 0.584
0.958 0.634 0.084
0.369 0.332 0.085
0.034 0.362 0.915
0.331 0.963 0.915
0.638 0.972 0.417
0.031 0.663 0.417
0.668 0.336 0.187
0.666 0.330 0.982
0.331 0.663 0.018
0.335 0.670 0.519
0.331 0.668 0.315
0.332 0.669 0.813
0.994 0.996 0.352
0.003 0.005 0.850
0.000 0.000 0.647
0.002 0.997 0.148
0.667 0.334 0.687
0.678 0.332 0.483
0.670 0.036 0.085
0.631 0.675 0.915
0.330 0.367 0.417
0.198 0.038 0.311
0.837 0.797 0.311
0.962 0.155 0.309
0.207 0.163 0.809
0.958 0.798 0.810
0.845 0.043 0.807
0.800 0.962 0.688
0.162 0.200 0.689
0.037 0.840 0.689
0.805 0.846 0.192
0.037 0.199 0.188
0.164 0.963 0.190
0.869 0.373 0.645
0.506 0.136 0.644
0.629 0.495 0.644
0.884 0.505 0.143
0.629 0.112 0.142
0.485 0.365 0.145
0.446 0.286 0.025
0.845 0.551 0.023
0.710 0.157 0.029
0.466 0.175 0.524
0.706 0.533 0.524
0.826 0.287 0.527
0.549 0.705 0.972
0.158 0.441 0.975
0.291 0.842 0.975
0.557 0.841 0.476
0.298 0.448 0.474
0.159 0.712 0.476
0.111 0.625 0.356
0.510 0.889 0.358
0.371 0.487 0.360
0.118 0.490 0.856
0.371 0.883 0.855
0.515 0.631 0.858
0.021 0.844 0.410
0.824 0.979 0.409
0.169 0.185 0.410
0.025 0.174 0.908
0.151 0.972 0.909
0.814 0.834 0.909
0.972 0.155 0.591
0.186 0.031 0.590
0.844 0.814 0.589
0.980 0.827 0.091
0.837 0.027 0.091
0.174 0.156 0.090
0.697 0.177 0.743
0.483 0.304 0.743
0.821 0.519 0.744
0.697 0.525 0.248
0.828 0.300 0.246
0.477 0.171 0.247
0.646 0.508 0.921
0.850 0.359 0.921
0.497 0.159 0.920
0.639 0.156 0.425
0.496 0.354 0.422
0.836 0.494 0.425
0.347 0.503 0.080
0.152 0.654 0.080
0.504 0.860 0.078
0.361 0.859 0.581
0.496 0.638 0.580
0.144 0.501 0.579
0.303 0.827 0.253
0.524 0.695 0.255
0.174 0.473 0.254
0.311 0.477 0.753
0.168 0.693 0.751
0.526 0.830 0.753
```

The space-group type is P1 (1). The energy relative to the elements comes out at -248.71 kJ/mol of atoms. As for the total magnetic moment: 0.00 Bohr magnetons per cell.


2.
DFT (PBE-GGA) results for Na5Ta2Si5Ge2PO24 after structural relaxation.

Geometry as POSCAR:
```
Na5Ta2Si5Ge2PO24
1.0
8.837 0.005 -0.012
-4.414 7.653 0.005
-0.030 -0.002 22.196
Na Ta Si Ge P O
15 6 15 6 3 72
direct
0.637 0.003 0.249
0.367 0.363 0.248
0.996 0.632 0.248
0.000 0.365 0.750
0.033 0.698 0.580
0.662 0.966 0.580
0.966 0.666 0.919
0.701 0.034 0.918
0.332 0.299 0.920
0.006 0.006 0.493
0.002 0.001 0.002
0.661 0.332 0.834
0.668 0.333 0.333
0.332 0.665 0.161
0.340 0.665 0.664
0.003 0.003 0.645
0.004 0.000 0.142
0.663 0.334 0.688
0.669 0.333 0.475
0.332 0.668 0.314
0.334 0.673 0.812
0.289 0.007 0.251
0.717 0.711 0.250
0.993 0.281 0.251
0.290 0.286 0.753
0.997 0.717 0.753
0.714 0.997 0.752
0.966 0.341 0.581
0.377 0.041 0.581
0.654 0.619 0.580
0.952 0.612 0.082
0.388 0.344 0.081
0.040 0.374 0.919
0.333 0.958 0.921
0.631 0.953 0.418
0.048 0.679 0.418
0.994 0.993 0.354
0.007 0.005 0.852
0.668 0.339 0.185
0.666 0.329 0.984
0.318 0.657 0.023
0.335 0.668 0.518
0.660 0.043 0.083
0.622 0.667 0.919
0.326 0.374 0.418
0.201 0.046 0.309
0.842 0.796 0.308
0.956 0.156 0.309
0.205 0.170 0.813
0.966 0.803 0.813
0.840 0.038 0.812
0.799 0.968 0.691
0.162 0.200 0.694
0.032 0.831 0.692
0.799 0.840 0.192
0.038 0.199 0.192
0.161 0.960 0.192
0.877 0.373 0.642
0.504 0.132 0.640
0.632 0.501 0.641
0.867 0.498 0.144
0.632 0.127 0.140
0.500 0.367 0.143
0.468 0.300 0.021
0.832 0.529 0.021
0.698 0.159 0.025
0.469 0.170 0.524
0.705 0.533 0.525
0.829 0.296 0.526
0.540 0.707 0.973
0.177 0.464 0.974
0.294 0.822 0.976
0.537 0.834 0.478
0.300 0.465 0.473
0.166 0.701 0.478
0.133 0.637 0.358
0.505 0.864 0.358
0.360 0.490 0.360
0.126 0.497 0.859
0.373 0.871 0.861
0.504 0.633 0.862
0.033 0.852 0.409
0.823 0.976 0.410
0.164 0.194 0.411
0.019 0.177 0.911
0.156 0.974 0.912
0.807 0.833 0.911
0.972 0.160 0.588
0.182 0.016 0.589
0.833 0.812 0.590
0.970 0.807 0.088
0.827 0.028 0.088
0.191 0.168 0.088
0.701 0.174 0.745
0.481 0.306 0.745
0.832 0.518 0.746
0.691 0.514 0.243
0.822 0.306 0.242
0.486 0.175 0.242
0.640 0.501 0.922
0.845 0.355 0.925
0.510 0.154 0.925
0.640 0.144 0.422
0.495 0.362 0.423
0.855 0.500 0.423
0.368 0.518 0.075
0.149 0.639 0.077
0.497 0.860 0.075
0.358 0.849 0.577
0.488 0.646 0.575
0.154 0.515 0.575
0.309 0.831 0.257
0.519 0.687 0.257
0.169 0.477 0.257
0.303 0.477 0.758
0.169 0.690 0.757
0.521 0.825 0.757
```

The space-group type is P1 (1). The energy relative to the elements comes out at -272.84 kJ/mol of atoms. As for the total magnetic moment: 0.00 Bohr magnetons per cell.


Which formula does entry 1 have? Na7Si5Sn2Ge2PO24